Record 1
## LuCo5P3 (PBE)

Data for crystalline LuCo5P3 at its relaxed geometry.

size of the total moment	5.17	Bohr magnetons per cell
calculated density	8.7	Mg/m³
crystal system	orthorhombic

Cell: 11.664 3.612 10.222 Å, 90.00 90.00 90.00°
Element x y z (fractional)
Lu1 0.203 0.250 0.083
Lu2 0.297 0.750 0.583
Lu3 0.703 0.250 0.417
Lu4 0.797 0.750 0.917
Co1 0.010 0.750 0.716
Co2 0.013 0.750 0.093
Co3 0.069 0.750 0.467
Co4 0.176 0.250 0.779
Co5 0.199 0.250 0.383
Co6 0.301 0.750 0.883
Co7 0.324 0.750 0.279
Co8 0.431 0.250 0.967
Co9 0.487 0.250 0.593
Co10 0.490 0.250 0.216
Co11 0.510 0.750 0.784
Co12 0.513 0.750 0.407
Co13 0.569 0.750 0.033
Co14 0.676 0.250 0.721
Co15 0.699 0.250 0.117
Co16 0.801 0.750 0.617
Co17 0.824 0.750 0.221
Co18 0.931 0.250 0.533
Co19 0.987 0.250 0.907
Co20 0.990 0.250 0.284
P1 0.110 0.750 0.900
P2 0.113 0.250 0.582
P3 0.130 0.750 0.269
P4 0.370 0.250 0.769
P5 0.387 0.750 0.082
P6 0.390 0.250 0.400
P7 0.610 0.750 0.600
P8 0.613 0.250 0.918
P9 0.630 0.750 0.231
P10 0.870 0.250 0.731
P11 0.887 0.750 0.418
P12 0.890 0.250 0.100



Record 2
## Lu2CoRh (PBE)

Data for crystalline Lu2CoRh at its relaxed geometry.

calculated density	11.7	Mg/m³
crystal system	cubic

Cell: 4.685 4.685 4.685 Å, 60.00 60.00 60.00°
Element x y z (fractional)
Lu1 0.250 0.250 0.250
Lu2 0.750 0.750 0.750
Co1 0.000 0.000 0.000
Rh1 0.500 0.500 0.500



Record 3
## Lu2CoRu (PBE)

Data for crystalline Lu2CoRu at its relaxed geometry.

calculated density	11.7	Mg/m³
crystal system	cubic

Cell: 4.673 4.673 4.673 Å, 60.00 60.00 60.00°
Element x y z (fractional)
Lu1 0.250 0.250 0.250
Lu2 0.750 0.750 0.750
Co1 0.000 0.000 0.000
Ru1 0.500 0.500 0.500



Record 4
## LuScCo2 (PBE)

Data for crystalline LuScCo2 at its relaxed geometry.

calculated density	8.6	Mg/m³
crystal system	cubic

Cell: 4.513 4.513 4.513 Å, 60.00 60.00 60.00°
Element x y z (fractional)
Lu1 0.000 0.000 0.000
Sc1 0.500 0.500 0.500
Co1 0.250 0.250 0.250
Co2 0.750 0.750 0.750



Number 1: calculated volume 430.6 Å³ per cell, VASP energy -7.11 eV per atom. Number 2: calculated volume 72.7 Å³ per cell, VASP energy -6.51 eV per atom. Number 3: calculated volume 72.1 Å³ per cell, VASP energy -6.75 eV per atom. Number 4: calculated volume 65.0 Å³ per cell, VASP energy -6.57 eV per atom.